This record from the Materials Project describes a relaxed MgMn2O4 crystal. The functional is GGA+U.

a b c (Å): 3.1079 5.2812 9.3420
angles (deg): 90.00 90.00 107.30
Atoms (fractional coordinates):
1 Mg 0.4042 0.8139 0.7510
2 Mg 0.5955 0.1862 0.2509
3 Mn 0.7618 0.7262 0.0709
4 Mn 0.0345 0.2734 0.9290
5 Mn 0.9655 0.7267 0.4291
6 Mn 0.2385 0.2737 0.5709
7 O 0.4047 0.4511 0.3847
8 O 0.9551 0.5488 0.6150
9 O 0.5954 0.5489 0.8847
10 O 0.0451 0.4511 0.1150
11 O 0.9615 0.9213 0.2499
12 O 0.0383 0.0787 0.7499
13 O 0.4993 0.9989 0.9995
14 O 0.5008 0.0010 0.4995

DFT formation energy ... -2284 meV/atom
Space-group type ... No. 4
Polymorph energy (0 for the lowest one) ... 38.9 kJ/mol of formula units